Entry 1:
TiIr | PBE | relaxed

## Properties
The energy is -9.22 eV/atom. The value obtained for the calculated density is 13.2 g/cm³.

a = 2.9427 Å, b = 2.9427 Å, c = 3.4953 Å
α = 90.00°, β = 90.00°, γ = 90.00°
With the nearest neighbours (Å) after each atom.
Atoms (fractional coordinates):
Ti: 0.0000 0.0000 0.0000  8 Ir 2.72, 4 Ti 2.94
Ir: 0.5000 0.5000 0.5000  8 Ti 2.72, 4 Ir 2.94

Entry 2:
TiIr | PBE | relaxed

## Properties
The energy is -9.14 eV/atom. The value obtained for the calculated density is 13.1 g/cm³.

a = 3.1216 Å, b = 3.1216 Å, c = 3.1216 Å
α = 90.00°, β = 90.00°, γ = 90.00°
With the nearest neighbours (Å) after each atom.
Atoms (fractional coordinates):
Ti: 0.0000 0.0000 0.0000  8 Ir 2.70
Ir: 0.5000 0.5000 0.5000  8 Ti 2.70

Entry 3:
Ti2VIr | PBE | relaxed

## Properties
The energy is -8.98 eV/atom. The value obtained for the calculated density is 9.4 g/cm³.

a = 4.3984 Å, b = 4.3984 Å, c = 4.3984 Å
α = 60.00°, β = 60.00°, γ = 60.00°
With the nearest neighbours (Å) after each atom.
Atoms (fractional coordinates):
Ti: 0.2500 0.2500 0.2500  4 Ir 2.69, 4 V 2.69
Ti: 0.7500 0.7500 0.7500  4 Ir 2.69, 4 V 2.69
V: 0.0000 0.0000 0.0000  8 Ti 2.69
Ir: 0.5000 0.5000 0.5000  8 Ti 2.69

Entry 4:
TmIr | PBE | relaxed

## Properties
The energy is -7.62 eV/atom. The value obtained for the calculated density is 15.5 g/cm³.

a = 3.3823 Å, b = 3.3823 Å, c = 3.3823 Å
α = 90.00°, β = 90.00°, γ = 90.00°
With the nearest neighbours (Å) after each atom.
Atoms (fractional coordinates):
Tm: 0.0000 0.0000 0.0000  8 Ir 2.93
Ir: 0.5000 0.5000 0.5000  8 Tm 2.93

Entry 5:
TmIr2 | PBE | relaxed

## Properties
The energy is -8.23 eV/atom. The value obtained for the calculated density is 17.2 g/cm³.

a = 5.3313 Å, b = 5.3313 Å, c = 5.3313 Å
α = 60.00°, β = 60.00°, γ = 60.00°
With the nearest neighbours (Å) after each atom.
Atoms (fractional coordinates):
Tm: 0.1250 0.1250 0.1250  12 Ir 3.13, 4 Tm 3.26
Tm: 0.8750 0.8750 0.8750  12 Ir 3.13, 4 Tm 3.26
Ir: 0.0000 0.5000 0.5000  6 Ir 2.67
Ir: 0.5000 0.0000 0.5000  6 Ir 2.67
Ir: 0.5000 0.5000 0.0000  6 Ir 2.67
Ir: 0.5000 0.5000 0.5000  6 Ir 2.67

Entry 6:
Tm3Ir | PBE | relaxed

## Properties
The energy is -6.20 eV/atom. The value obtained for the calculated density is 11.3 g/cm³.

a = 7.2091 Å, b = 9.1146 Å, c = 6.2739 Å
α = 90.00°, β = 90.00°, γ = 90.00°
With the nearest neighbours (Å) after each atom.
Atoms (fractional coordinates):
Tm: 0.0347 0.2500 0.1333  2 Ir 2.75-2.81
Tm: 0.1769 0.0623 0.6714  2 Ir 2.84-2.87
Tm: 0.1769 0.4377 0.6714  2 Ir 2.84-2.87
Tm: 0.3231 0.5623 0.1714  2 Ir 2.84-2.87
Tm: 0.3231 0.9377 0.1714  2 Ir 2.84-2.87
Tm: 0.4653 0.7500 0.6333  2 Ir 2.75-2.81
Tm: 0.5347 0.2500 0.3667  2 Ir 2.75-2.81
Tm: 0.6769 0.0623 0.8286  2 Ir 2.84-2.87
Tm: 0.6769 0.4377 0.8286  2 Ir 2.84-2.87
Tm: 0.8231 0.5623 0.3286  2 Ir 2.84-2.87
Tm: 0.8231 0.9377 0.3286  2 Ir 2.84-2.87
Tm: 0.9653 0.7500 0.8667  2 Ir 2.75-2.81
Ir: 0.1180 0.7500 0.4538  6 Tm 2.75-2.87
Ir: 0.3820 0.2500 0.9538  6 Tm 2.75-2.87
Ir: 0.6180 0.7500 0.0462  6 Tm 2.75-2.87
Ir: 0.8820 0.2500 0.5462  6 Tm 2.75-2.87

Entry 7:
Tm4Ir | PBE | relaxed

## Properties
The energy is -5.25 eV/atom. The value obtained for the calculated density is 9.3 g/cm³.

a = 7.5879 Å, b = 7.5879 Å, c = 7.5879 Å
α = 60.00°, β = 60.00°, γ = 60.00°
With the nearest neighbours (Å) after each atom.
Atoms (fractional coordinates):
Tm: 0.2096 0.7635 0.7635  1 Ir 2.57
Tm: 0.2365 0.2365 0.2365  1 Ir 2.57
Tm: 0.2365 0.2365 0.7904  1 Ir 2.57
Tm: 0.2365 0.7904 0.2365  1 Ir 2.57
Tm: 0.7635 0.2096 0.7635  1 Ir 2.57
Tm: 0.7635 0.7635 0.2096  1 Ir 2.57
Tm: 0.7635 0.7635 0.7635  1 Ir 2.57
Tm: 0.7904 0.2365 0.2365  1 Ir 2.57
Ir: 0.3750 0.3750 0.3750  4 Tm 2.57
Ir: 0.6250 0.6250 0.6250  4 Tm 2.57

Entry 8:
YTmIr2 | PBE | relaxed

## Properties
The energy is -8.02 eV/atom. The value obtained for the calculated density is 13.4 g/cm³.

a = 4.8262 Å, b = 4.8262 Å, c = 4.8262 Å
α = 60.00°, β = 60.00°, γ = 60.00°
With the nearest neighbours (Å) after each atom.
Atoms (fractional coordinates):
Y: 0.0000 0.0000 0.0000  8 Ir 2.96
Tm: 0.5000 0.5000 0.5000  8 Ir 2.96
Ir: 0.2500 0.2500 0.2500  4 Tm 2.96, 4 Y 2.96
Ir: 0.7500 0.7500 0.7500  4 Y 2.96, 4 Tm 2.96

Entry 9:
UIr2 | PBE | relaxed

## Properties
The energy is -10.23 eV/atom. The value obtained for the calculated density is 19.3 g/cm³.

a = 5.3266 Å, b = 5.3266 Å, c = 5.3266 Å
α = 60.00°, β = 60.00°, γ = 60.00°
With the nearest neighbours (Å) after each atom.
Atoms (fractional coordinates):
U: 0.1250 0.1250 0.1250  12 Ir 3.12, 4 U 3.26
U: 0.8750 0.8750 0.8750  12 Ir 3.12, 4 U 3.26
Ir: 0.0000 0.5000 0.5000  6 Ir 2.66
Ir: 0.5000 0.0000 0.5000  6 Ir 2.66
Ir: 0.5000 0.5000 0.0000  6 Ir 2.66
Ir: 0.5000 0.5000 0.5000  6 Ir 2.66

Entry 10:
UIr3 | PBE | relaxed

## Properties
The energy is -10.11 eV/atom. The value obtained for the calculated density is 20.3 g/cm³.

a = 4.0514 Å, b = 4.0514 Å, c = 4.0514 Å
α = 90.00°, β = 90.00°, γ = 90.00°
With the nearest neighbours (Å) after each atom.
Atoms (fractional coordinates):
U: 0.0000 0.0000 0.0000  12 Ir 2.86
Ir: 0.0000 0.5000 0.5000  4 U 2.86, 8 Ir 2.86
Ir: 0.5000 0.0000 0.5000  4 U 2.86, 8 Ir 2.86
Ir: 0.5000 0.5000 0.0000  4 U 2.86, 8 Ir 2.86

Entry 11:
VIr3 | PBE | relaxed

## Properties
The energy is -9.40 eV/atom. The value obtained for the calculated density is 18.4 g/cm³.

a = 3.8393 Å, b = 3.8393 Å, c = 3.8393 Å
α = 90.00°, β = 90.00°, γ = 90.00°
With the nearest neighbours (Å) after each atom.
Atoms (fractional coordinates):
V: 0.0000 0.0000 0.0000  12 Ir 2.71
Ir: 0.0000 0.5000 0.5000  8 Ir 2.71, 4 V 2.71
Ir: 0.5000 0.0000 0.5000  8 Ir 2.71, 4 V 2.71
Ir: 0.5000 0.5000 0.0000  8 Ir 2.71, 4 V 2.71

Entry 12:
VIr3 | PBE | relaxed

## Properties
The energy is -9.42 eV/atom. The value obtained for the calculated density is 18.5 g/cm³.

a = 5.4659 Å, b = 5.4659 Å, c = 4.3578 Å
α = 90.00°, β = 90.00°, γ = 120.00°
With the nearest neighbours (Å) after each atom.
Atoms (fractional coordinates):
V: 0.3333 0.6667 0.2500  12 Ir 2.69-2.73
V: 0.6667 0.3333 0.7500  12 Ir 2.69-2.73
Ir: 0.1675 0.3350 0.7500  4 V 2.69-2.73, 8 Ir 2.69-2.75
Ir: 0.1675 0.8325 0.7500  4 V 2.69-2.73, 8 Ir 2.69-2.75
Ir: 0.3350 0.1675 0.2500  4 V 2.69-2.73, 8 Ir 2.69-2.75
Ir: 0.6650 0.8325 0.7500  4 V 2.69-2.73, 8 Ir 2.69-2.75
Ir: 0.8325 0.1675 0.2500  4 V 2.69-2.73, 8 Ir 2.69-2.75
Ir: 0.8325 0.6650 0.2500  4 V 2.69-2.73, 8 Ir 2.69-2.75

- Number 9 is which compound?
  UIr2

What did the second record say?
TiIr | PBE | relaxed

## Properties
The energy is -9.14 eV/atom. The value obtained for the calculated density is 13.1 g/cm³.

a = 3.1216 Å, b = 3.1216 Å, c = 3.1216 Å
α = 90.00°, β = 90.00°, γ = 90.00°
With the nearest neighbours (Å) after each atom.
Atoms (fractional coordinates):
Ti: 0.0000 0.0000 0.0000  8 Ir 2.70
Ir: 0.5000 0.5000 0.5000  8 Ti 2.70